Record 1
The following is a PBE+U calculation of a relaxed structure of Sr3CoRuO7, from the Materials Project.

Results
E = -6.434 eV per atom
theoretical density = 5.50 Mg/m³
formation energy from the elements = -2.297 eV/atom
space group = I4mm, No. 107

abc: 10.7271 10.7271 10.7271
angles: 158.80 158.80 30.16
With the nearest neighbours (Å) after each atom.
Positions (direct):
O1 0.8038 0.8038 0.0000  1 Co 1.88
O2 0.6001 0.1001 0.5000  2 Ru 1.97
O3 0.9049 0.4049 0.5000  2 Co 1.99
O4 0.0050 0.0050 0.0000  1 Ru 1.90
O5 0.4049 0.9049 0.5000  2 Co 1.99
O6 0.1001 0.6001 0.5000  2 Ru 1.97
O7 0.1956 0.1956 0.0000  1 Ru 2.05
Ru1 0.0967 0.0967 0.0000  6 O 1.90-2.05
Sr1 0.6850 0.6850 0.0000  5 O 2.46-2.64
Sr2 0.3203 0.3203 0.0000  9 O 2.58-2.81
Sr3 0.4890 0.4890 0.0000  8 O 2.63-2.81
Co1 0.8945 0.8945 0.0000  5 O 1.88-1.99

***

Record 2
The following is a PBE+U calculation of a relaxed structure of Na2W2O7, from the Materials Project.

Results
E = -6.731 eV per atom
theoretical density = 5.96 Mg/m³
formation energy from the elements = -2.230 eV/atom
space group = Cmc2_1, No. 36
excess energy over the best structure of this formula in the dataset = 0.0 meV/atom

abc: 3.8785 5.5239 13.8058
angles: 90.00 98.07 90.00
With the nearest neighbours (Å) after each atom.
Positions (direct):
O1 0.7086 0.8044 0.4172  1 W 1.81
O2 0.6923 0.3192 0.3845  1 W 1.79
O3 0.4921 0.3205 0.9841  2 W 2.00-2.04
O4 0.3947 0.3954 0.7895  1 W 1.85
O5 0.6053 0.8954 0.2105  1 W 1.85
O6 0.8541 0.1102 0.7082  2 W 1.97
O7 0.2914 0.3044 0.5828  1 W 1.81
O8 0.5079 0.8205 0.0159  2 W 2.00-2.04
O9 0.4102 0.8952 0.8204  1 W 1.89
O10 0.1459 0.6102 0.2918  2 W 1.97
O11 0.5898 0.3952 0.1796  1 W 1.89
O12 0.3077 0.8192 0.6155  1 W 1.79
O13 0.0468 0.1087 0.0936  2 W 1.95
O14 0.9532 0.6087 0.9064  2 W 1.95
Na1 0.9463 0.1151 0.8925  7 O 2.49-2.75
Na2 0.0537 0.6151 0.1075  7 O 2.49-2.75
Na3 0.7835 0.5710 0.5671  5 O 2.42-2.47
Na4 0.2165 0.0710 0.4329  5 O 2.42-2.47
W1 0.3421 0.0949 0.6842  4 O 1.79-1.97
W2 0.5528 0.1068 0.1056  6 O 1.85-2.04
W3 0.6579 0.5949 0.3158  4 O 1.79-1.97
W4 0.4472 0.6068 0.8944  6 O 1.85-2.04

***

Record 3
The following is a PBE+U calculation of a relaxed structure of Y4CdMo3O16, from the Materials Project.

Results
E = -7.735 eV per atom
theoretical density = 5.25 Mg/m³
formation energy from the elements = -2.823 eV/atom
space group = Pn-3, No. 201

abc: 10.8602 10.8602 10.8602
angles: 90.00 90.00 90.00
With the nearest neighbours (Å) after each atom.
Positions (direct):
O1 0.8709 0.1291 0.1291  4 Y 2.28-2.30
O2 0.8876 0.5762 0.3424  1 Mo 1.79
O3 0.1291 0.8709 0.1291  4 Y 2.28-2.30
O4 0.3350 0.4185 0.8793  1 Mo 1.82
O5 0.6576 0.1124 0.5762  1 Mo 1.79
O6 0.3350 0.5815 0.1207  1 Mo 1.82
O7 0.3876 0.0762 0.1576  1 Mo 1.79
O8 0.6291 0.3709 0.3709  4 Y 2.28-2.30
O9 0.8793 0.3350 0.4185  1 Mo 1.82
O10 0.9185 0.3793 0.1650  1 Mo 1.82
O11 0.4185 0.1207 0.6650  1 Mo 1.82
O12 0.1576 0.3876 0.0762  1 Mo 1.79
O13 0.3424 0.8876 0.5762  1 Mo 1.79
O14 0.6207 0.1650 0.0815  1 Mo 1.82
O15 0.1300 0.1300 0.1300  1 Cd 2.26, 3 Y 2.30
O16 0.5762 0.6576 0.1124  1 Mo 1.79
O17 0.1291 0.1291 0.8709  4 Y 2.28-2.30
O18 0.6650 0.4185 0.1207  1 Mo 1.82
O19 0.6576 0.8876 0.4238  1 Mo 1.79
O20 0.1300 0.8700 0.8700  1 Cd 2.26, 3 Y 2.30
O21 0.8700 0.8700 0.1300  1 Cd 2.26, 3 Y 2.30
O22 0.8876 0.4238 0.6576  1 Mo 1.79
O23 0.8424 0.3876 0.9238  1 Mo 1.79
O24 0.3793 0.1650 0.9185  1 Mo 1.82
O25 0.9238 0.1576 0.6124  1 Mo 1.79
O26 0.1124 0.5762 0.6576  1 Mo 1.79
O27 0.3424 0.1124 0.4238  1 Mo 1.79
O28 0.3700 0.3700 0.3700  1 Cd 2.26, 3 Y 2.30
O29 0.0762 0.8424 0.6124  1 Mo 1.79
O30 0.9238 0.8424 0.3876  1 Mo 1.79
O31 0.5815 0.1207 0.3350  1 Mo 1.82
O32 0.1124 0.4238 0.3424  1 Mo 1.79
O33 0.4185 0.8793 0.3350  1 Mo 1.82
O34 0.0815 0.3793 0.8350  1 Mo 1.82
O35 0.0762 0.1576 0.3876  1 Mo 1.79
O36 0.5762 0.3424 0.8876  1 Mo 1.79
O37 0.3709 0.3709 0.6291  4 Y 2.28-2.30
O38 0.5815 0.8793 0.6650  1 Mo 1.82
O39 0.1207 0.6650 0.4185  1 Mo 1.82
O40 0.6291 0.6291 0.6291  4 Y 2.28-2.30
O41 0.4238 0.6576 0.8876  1 Mo 1.79
O42 0.8424 0.6124 0.0762  1 Mo 1.79
O43 0.6124 0.9238 0.1576  1 Mo 1.79
O44 0.9185 0.6207 0.8350  1 Mo 1.82
O45 0.3709 0.6291 0.3709  4 Y 2.28-2.30
O46 0.8700 0.1300 0.8700  1 Cd 2.26, 3 Y 2.30
O47 0.3876 0.9238 0.8424  1 Mo 1.79
O48 0.8793 0.6650 0.5815  1 Mo 1.82
O49 0.6300 0.6300 0.3700  1 Cd 2.26, 3 Y 2.30
O50 0.6124 0.0762 0.8424  1 Mo 1.79
O51 0.4238 0.3424 0.1124  1 Mo 1.79
O52 0.1650 0.9185 0.3793  1 Mo 1.82
O53 0.8350 0.0815 0.3793  1 Mo 1.82
O54 0.6650 0.5815 0.8793  1 Mo 1.82
O55 0.3793 0.8350 0.0815  1 Mo 1.82
O56 0.6207 0.8350 0.9185  1 Mo 1.82
O57 0.1650 0.0815 0.6207  1 Mo 1.82
O58 0.6300 0.3700 0.6300  1 Cd 2.26, 3 Y 2.30
O59 0.1207 0.3350 0.5815  1 Mo 1.82
O60 0.0815 0.6207 0.1650  1 Mo 1.82
O61 0.3700 0.6300 0.6300  1 Cd 2.26, 3 Y 2.30
O62 0.8350 0.9185 0.6207  1 Mo 1.82
O63 0.1576 0.6124 0.9238  1 Mo 1.79
O64 0.8709 0.8709 0.8709  4 Y 2.28-2.30
Y1 0.0000 0.2359 0.0000  8 O 2.30-2.53
Y2 0.2500 0.2500 0.7500  8 O 2.28-2.48
Y3 0.5000 0.5000 0.2641  8 O 2.30-2.53
Y4 0.0000 0.7641 0.0000  8 O 2.30-2.53
Y5 0.0000 0.0000 0.7641  8 O 2.30-2.53
Y6 0.7641 0.0000 0.0000  8 O 2.30-2.53
Y7 0.5000 0.2641 0.5000  8 O 2.30-2.53
Y8 0.2359 0.0000 0.0000  8 O 2.30-2.53
Y9 0.0000 0.0000 0.2359  8 O 2.30-2.53
Y10 0.7500 0.2500 0.2500  8 O 2.28-2.48
Y11 0.5000 0.5000 0.7359  8 O 2.30-2.53
Y12 0.2641 0.5000 0.5000  8 O 2.30-2.53
Y13 0.7359 0.5000 0.5000  8 O 2.30-2.53
Y14 0.5000 0.7359 0.5000  8 O 2.30-2.53
Y15 0.7500 0.7500 0.7500  8 O 2.28-2.48
Y16 0.2500 0.7500 0.2500  8 O 2.28-2.48
Cd1 0.2500 0.2500 0.2500  2 O 2.26
Cd2 0.7500 0.2500 0.7500  2 O 2.26
Cd3 0.2500 0.7500 0.7500  2 O 2.26
Cd4 0.7500 0.7500 0.2500  2 O 2.26
Mo1 0.0000 0.7487 0.5000  4 O 1.79-1.82
Mo2 0.5000 0.7513 0.0000  4 O 1.79-1.82
Mo3 0.5000 0.0000 0.2513  4 O 1.79-1.82
Mo4 0.2487 0.0000 0.5000  4 O 1.79-1.82
Mo5 0.7487 0.5000 0.0000  4 O 1.79-1.82
Mo6 0.5000 0.0000 0.7487  4 O 1.79-1.82
Mo7 0.2513 0.5000 0.0000  4 O 1.79-1.82
Mo8 0.0000 0.2513 0.5000  4 O 1.79-1.82
Mo9 0.0000 0.5000 0.7513  4 O 1.79-1.82
Mo10 0.7513 0.0000 0.5000  4 O 1.79-1.82
Mo11 0.0000 0.5000 0.2487  4 O 1.79-1.82
Mo12 0.5000 0.2487 0.0000  4 O 1.79-1.82

***

no.,magnetization (Bohr magnetons per cell)
1,6.3
2,0.0
3,0.0